Record 1
Material: Sn3O2F2
Method: DFT, PBE-GGA
State: optimized geometry

Lattice parameters (Å, degrees): 5.5356 9.3530 11.5060 90.00 90.00 90.00
Positions (direct):
Sn: 0.2500 0.6986 0.0765
Sn: 0.2500 0.0805 0.0792
Sn: 0.7500 0.8544 0.2232
Sn: 0.2500 0.3544 0.2768
Sn: 0.7500 0.5805 0.4208
Sn: 0.7500 0.1986 0.4235
Sn: 0.2500 0.8014 0.5765
Sn: 0.2500 0.4195 0.5792
Sn: 0.7500 0.6456 0.7232
Sn: 0.2500 0.1456 0.7768
Sn: 0.7500 0.9195 0.9208
Sn: 0.7500 0.3014 0.9235
O: 0.0051 0.8892 0.0797
O: 0.4949 0.8892 0.0797
O: 0.5051 0.3892 0.4203
O: 0.9949 0.3892 0.4203
O: 0.0051 0.6108 0.5797
O: 0.4949 0.6108 0.5797
O: 0.5051 0.1108 0.9203
O: 0.9949 0.1108 0.9203
F: 0.7500 0.6474 0.1492
F: 0.7500 0.2043 0.2408
F: 0.2500 0.7043 0.2592
F: 0.2500 0.1474 0.3508
F: 0.7500 0.8526 0.6492
F: 0.7500 0.2957 0.7408
F: 0.2500 0.7957 0.7592
F: 0.2500 0.3526 0.8508

Energy with MP2020 corrections ... -5.673 eV/atom
E above lowest polymorph ... 0 meV per atom
Spin magnetization ... 0.0 μB/f.u.
Energy relative to the elements ... -1.994 eV per atom
Space group ... No. 62

***

Record 2
Material: Sn13O10F6
Method: DFT, PBE-GGA
State: optimized geometry

Lattice parameters (Å, degrees): 8.3551 8.3551 23.0369 86.83 86.83 50.66
Positions (direct):
Sn: 0.1307 0.6651 0.2937
Sn: 0.7266 0.1917 0.0140
Sn: 0.7714 0.9294 0.4170
Sn: 0.9936 0.8361 0.1347
Sn: 0.1604 0.3763 0.4373
Sn: 0.4074 0.2644 0.1546
Sn: 0.6651 0.1307 0.7937
Sn: 0.1917 0.7266 0.5140
Sn: 0.9294 0.7714 0.9170
Sn: 0.8361 0.9936 0.6347
Sn: 0.3763 0.1604 0.9373
Sn: 0.7356 0.5926 0.3454
Sn: 0.2644 0.4074 0.6546
Sn: 0.6237 0.8396 0.0627
Sn: 0.1639 0.0064 0.3653
Sn: 0.0706 0.2286 0.0830
Sn: 0.8083 0.2734 0.4860
Sn: 0.3349 0.8693 0.2063
Sn: 0.5926 0.7356 0.8454
Sn: 0.8396 0.6237 0.5627
Sn: 0.0064 0.1639 0.8653
Sn: 0.7784 0.2216 0.2500
Sn: 0.2286 0.0706 0.5830
Sn: 0.2734 0.8083 0.9860
Sn: 0.8693 0.3349 0.7063
Sn: 0.2216 0.7784 0.7500
O: 0.0220 0.9709 0.4415
O: 0.9625 0.9841 0.3161
O: 0.9709 0.0220 0.9415
O: 0.9841 0.9625 0.8161
O: 0.9712 0.6814 0.4825
O: 0.9513 0.6549 0.3612
O: 0.6671 0.0561 0.0980
O: 0.6814 0.9712 0.9825
O: 0.6549 0.9513 0.8612
O: 0.0561 0.6671 0.5980
O: 0.9439 0.3329 0.4020
O: 0.3451 0.0487 0.1388
O: 0.3186 0.0288 0.0175
O: 0.3329 0.9439 0.9020
O: 0.0487 0.3451 0.6388
O: 0.0288 0.3186 0.5175
O: 0.0159 0.0375 0.1839
O: 0.0291 0.9780 0.0585
O: 0.0375 0.0159 0.6839
O: 0.9780 0.0291 0.5585
F: 0.3361 0.5903 0.3586
F: 0.5903 0.3361 0.8586
F: 0.6976 0.0152 0.2240
F: 0.2320 0.3853 0.0710
F: 0.0152 0.6976 0.7240
F: 0.6147 0.7680 0.4290
F: 0.3853 0.2320 0.5710
F: 0.9848 0.3024 0.2760
F: 0.7680 0.6147 0.9290
F: 0.3024 0.9848 0.7760
F: 0.4097 0.6639 0.1414
F: 0.6639 0.4097 0.6414

Energy with MP2020 corrections ... -5.781 eV/atom
Spin magnetization ... 0.0 μB/f.u.
Energy relative to the elements ... -1.881 eV per atom
Space group ... No. 15

***

Record 3
Material: SrTiO2F6
Method: DFT, PBE-GGA
State: optimized geometry

Lattice parameters (Å, degrees): 10.4584 6.1744 11.7319 66.58 90.00 90.00
Positions (direct):
Sr: 0.7164 0.2768 0.5544
Sr: 0.2164 0.7232 0.9456
Sr: 0.2836 0.7232 0.4456
Sr: 0.7836 0.2768 0.0544
Ti: 0.5304 0.6318 0.7518
Ti: 0.0304 0.3682 0.7482
Ti: 0.4696 0.3682 0.2482
Ti: 0.9696 0.6318 0.2518
O: 0.6810 0.9027 0.9988
O: 0.1810 0.0973 0.5012
O: 0.3190 0.0973 0.0012
O: 0.8190 0.9027 0.4988
O: 0.9363 0.6756 0.9076
O: 0.4363 0.3244 0.5924
O: 0.0637 0.3244 0.0924
O: 0.5637 0.6756 0.4076
F: 0.6311 0.9118 0.6990
F: 0.1311 0.0882 0.8010
F: 0.3689 0.0882 0.3010
F: 0.8689 0.9118 0.1990
F: 0.6478 0.5196 0.6621
F: 0.1478 0.4804 0.8379
F: 0.3522 0.4804 0.3379
F: 0.8522 0.5196 0.1621
F: 0.9150 0.2309 0.6738
F: 0.4150 0.7691 0.8262
F: 0.0850 0.7691 0.3262
F: 0.5850 0.2309 0.1738
F: 0.9292 0.2403 0.8978
F: 0.4292 0.7597 0.6022
F: 0.0708 0.7597 0.1022
F: 0.5708 0.2403 0.3978
F: 0.9359 0.6445 0.7002
F: 0.4359 0.3555 0.7998
F: 0.0641 0.3555 0.2998
F: 0.5641 0.6445 0.2002
F: 0.6322 0.4978 0.8942
F: 0.1322 0.5022 0.6058
F: 0.3678 0.5022 0.1058
F: 0.8678 0.4978 0.3942

Energy with MP2020 corrections ... -5.804 eV/atom
Spin magnetization ... 4.0 μB/f.u.
Energy relative to the elements ... -2.707 eV per atom
Space group ... No. 14